{"formula": "Nd2Au", "functional": "meta-GGA r2SCAN", "state": "optimized geometry", "formation_enthalpy_0k_ev_per_atom": -0.64, "lattice": [[0.0000, -5.0969, 0.0000], [-7.3125, 0.0000, 0.0000], [0.0000, 0.0000, -9.2732]], "species": ["Nd", "Nd", "Nd", "Nd", "Nd", "Nd", "Nd", "Nd", "Au", "Au", "Au", "Au"], "fractional_positions": [[0.7500, 0.6497, 0.5891], [0.7500, 0.1497, 0.9109], [0.2500, 0.3503, 0.4109], [0.2500, 0.8503, 0.0891], [0.7500, 0.0040, 0.3267], [0.7500, 0.5041, 0.1733], [0.2500, 0.9959, 0.6733], [0.2500, 0.4960, 0.8267], [0.7500, 0.2420, 0.5930], [0.7500, 0.7421, 0.9070], [0.2500, 0.7579, 0.4070], [0.2500, 0.2580, 0.0930]]}

---

{"formula": "NdPbAu2", "functional": "meta-GGA r2SCAN", "state": "optimized geometry", "formation_enthalpy_0k_ev_per_atom": -0.67, "lattice": [[0.0000, 3.6134, 3.6134], [3.6134, 0.0000, 3.6134], [3.6134, 3.6134, 0.0000]], "species": ["Nd", "Pb", "Au", "Au"], "fractional_positions": [[0.2500, 0.2500, 0.2500], [0.7500, 0.7500, 0.7500], [0.5000, 0.5000, 0.5000], [0.0000, 0.0000, 0.0000]]}

---

{"formula": "NdSbAu", "functional": "meta-GGA r2SCAN", "state": "optimized geometry", "formation_enthalpy_0k_ev_per_atom": -1.06, "lattice": [[2.3102, -4.0013, 0.0000], [2.3102, 4.0013, 0.0000], [0.0000, 0.0000, 16.8518]], "species": ["Nd", "Nd", "Nd", "Nd", "Sb", "Sb", "Sb", "Sb", "Au", "Au", "Au", "Au"], "fractional_positions": [[0.0000, 0.0000, 0.5000], [0.0000, 0.0000, 0.0000], [0.0000, 0.0000, 0.2500], [0.0000, 0.0000, 0.7500], [0.3333, 0.6667, 0.3898], [0.6667, 0.3333, 0.6102], [0.6667, 0.3333, 0.8898], [0.3333, 0.6667, 0.1102], [0.6667, 0.3333, 0.3384], [0.3333, 0.6667, 0.6616], [0.3333, 0.6667, 0.8384], [0.6667, 0.3333, 0.1616]]}

---

{"formula": "Nd5Si9Au", "functional": "meta-GGA r2SCAN", "state": "optimized geometry", "formation_enthalpy_0k_ev_per_atom": -0.73, "lattice": [[4.2841, 0.0005, -0.0016], [0.0005, 4.2774, 0.0005], [2.1283, 2.1440, 34.3849]], "species": ["Nd", "Nd", "Nd", "Nd", "Nd", "Nd", "Nd", "Nd", "Nd", "Nd", "Si", "Si", "Si", "Si", "Si", "Si", "Si", "Si", "Si", "Si", "Si", "Si", "Si", "Si", "Si", "Si", "Si", "Si", "Au", "Au"], "fractional_positions": [[0.9492, 0.4484, 0.1020], [0.3506, 0.8510, 0.2982], [0.7522, 0.2527, 0.4945], [0.1501, 0.6500, 0.7000], [0.5479, 0.0473, 0.9058], [0.9988, 0.9983, 0.0033], [0.3996, 0.3997, 0.2004], [0.8012, 0.8021, 0.3965], [0.2024, 0.2027, 0.5941], [0.6006, 0.6004, 0.7989], [0.4664, 0.9651, 0.0686], [0.8686, 0.3677, 0.2648], [0.2688, 0.7692, 0.4617], [0.6668, 0.1677, 0.6647], [0.0658, 0.5651, 0.8701], [0.9172, 0.9167, 0.1665], [0.3180, 0.3193, 0.3628], [0.7194, 0.7197, 0.5605], [0.1174, 0.1174, 0.7662], [0.5159, 0.5150, 0.9700], [0.4324, 0.9317, 0.1358], [0.8331, 0.3339, 0.3321], [0.2347, 0.7350, 0.5295], [0.6335, 0.1331, 0.7329], [0.0319, 0.5314, 0.9378], [0.4815, 0.4809, 0.0373], [0.8819, 0.8832, 0.2338], [0.2840, 0.2852, 0.4299], [0.6849, 0.6850, 0.6304], [0.0823, 0.0820, 0.8363]]}

---

{"formula": "NdSnAu2", "functional": "meta-GGA r2SCAN", "state": "optimized geometry", "formation_enthalpy_0k_ev_per_atom": -0.72, "lattice": [[4.2980, -1.1991, 2.3398], [0.3106, 0.3209, 5.0185], [0.2696, -4.1929, 2.7805]], "species": ["Nd", "Sn", "Au", "Au"], "fractional_positions": [[0.2500, 0.2500, 0.2500], [0.7500, 0.7500, 0.7500], [0.5000, 0.5000, 0.5000], [0.0000, 0.0000, 0.0000]]}

---

{"formula": "YbNdAu2", "functional": "meta-GGA r2SCAN", "state": "optimized geometry", "formation_enthalpy_0k_ev_per_atom": -0.89, "lattice": [[0.0000, 3.6085, 3.6085], [3.6085, 0.0000, 3.6085], [3.6085, 3.6085, 0.0000]], "species": ["Yb", "Nd", "Au", "Au"], "fractional_positions": [[0.0000, 0.0000, 0.0000], [0.5000, 0.5000, 0.5000], [0.7500, 0.7500, 0.7500], [0.2500, 0.2500, 0.2500]]}

---

{"formula": "ScNi4Au", "functional": "meta-GGA r2SCAN", "state": "optimized geometry", "formation_enthalpy_0k_ev_per_atom": -0.37, "lattice": [[-0.0001, 3.3842, 3.3842], [3.3842, -0.0001, 3.3842], [3.3842, 3.3842, -0.0001]], "species": ["Sc", "Ni", "Ni", "Ni", "Ni", "Au"], "fractional_positions": [[0.0000, 0.0000, 0.0000], [0.6246, 0.6246, 0.1262], [0.6246, 0.1262, 0.6246], [0.1262, 0.6246, 0.6246], [0.6246, 0.6246, 0.6246], [0.2500, 0.2500, 0.2500]]}

---

{"formula": "Si7Ni4Au2", "functional": "meta-GGA r2SCAN", "state": "optimized geometry", "formation_enthalpy_0k_ev_per_atom": -0.33, "lattice": [[3.0265, -3.5236, 4.7628], [5.2062, -3.7712, 1.7128], [5.4655, 4.5518, 3.5363]], "species": ["Si", "Si", "Si", "Si", "Si", "Si", "Si", "Ni", "Ni", "Ni", "Ni", "Au", "Au"], "fractional_positions": [[0.1654, 0.1654, 0.5756], [0.8346, 0.8346, 0.4244], [0.4951, 0.4951, 0.3352], [0.5049, 0.5049, 0.6648], [0.1535, 0.1535, 0.2420], [0.8465, 0.8465, 0.7580], [0.5000, 0.5000, 0.0000], [0.3447, 0.3447, 0.5878], [0.6553, 0.6553, 0.4122], [0.0056, 0.0056, 0.8319], [0.9944, 0.9944, 0.1681], [0.1934, 0.1934, 0.9067], [0.8066, 0.8066, 0.0933]]}

---

Number 1: E -37.114 eV/atom. Number 2: E -47.392 eV/atom. Number 3: E -36.292 eV/atom. Number 4: E -19.175 eV/atom. Number 5: E -39.554 eV/atom. Number 6: E -42.673 eV/atom. Number 7: E -18.690 eV/atom. Number 8: E -16.524 eV/atom.